## P
The following is a DFT calculation (PBE) of an optimized crystal structure of MoWSe2S2.

Summary:
- Symmetry: P3m1, No. 156
- Calculated volume: 211.51 Å³ per cell

a b c (Å): 3.257 3.257 23.018
angles (deg): 90.00 90.00 120.00
Positions (direct):
Mo (0.000, 0.000, 0.000)
W (0.667, 0.333, 0.699)
Se (0.000, 0.000, 0.625)
Se (0.000, 0.000, 0.773)
S (0.667, 0.333, 0.067)
S (0.667, 0.333, 0.933)


## Q
The following is a DFT calculation (PBE) of an optimized crystal structure of MoWSe2S2.

Summary:
- Symmetry: P3m1, No. 156
- Calculated volume: 338.62 Å³ per cell

a b c (Å): 3.256 3.256 36.893
angles (deg): 90.00 90.00 120.00
Positions (direct):
Mo (0.000, 0.000, 0.000)
Mo (0.000, 0.000, 0.376)
W (0.333, 0.667, 0.188)
W (0.333, 0.667, 0.564)
Se (0.000, 0.000, 0.517)
Se (0.000, 0.000, 0.610)
Se (0.333, 0.667, 0.046)
Se (0.333, 0.667, 0.954)
S (0.000, 0.000, 0.146)
S (0.000, 0.000, 0.230)
S (0.333, 0.667, 0.334)
S (0.333, 0.667, 0.418)


## R
The following is a DFT calculation (PBE) of an optimized crystal structure of MoWSe2S2.

Summary:
- Symmetry: P-3m1, No. 164
- Calculated volume: 337.87 Å³ per cell

a b c (Å): 3.252 3.252 36.901
angles (deg): 90.00 90.00 120.00
Positions (direct):
Mo (0.333, 0.667, 0.094)
Mo (0.667, 0.333, 0.906)
W (0.333, 0.667, 0.718)
W (0.667, 0.333, 0.282)
Se (0.333, 0.667, 0.860)
Se (0.333, 0.667, 0.952)
Se (0.667, 0.333, 0.048)
Se (0.667, 0.333, 0.140)
S (0.333, 0.667, 0.240)
S (0.333, 0.667, 0.324)
S (0.667, 0.333, 0.676)
S (0.667, 0.333, 0.760)


Energetically preferred structure: R | next structure: +16 meV per atom


## P
The following is a DFT calculation (PBE) of an optimized crystal structure of MoWSe2S2.

Summary:
- Symmetry: P3m1, No. 156
- Calculated volume: 338.18 Å³ per cell

a b c (Å): 3.254 3.254 36.880
angles (deg): 90.00 90.00 120.00
Positions (direct):
Mo (0.000, 0.000, 0.000)
Mo (0.333, 0.667, 0.812)
W (0.000, 0.000, 0.624)
W (0.333, 0.667, 0.188)
Se (0.000, 0.000, 0.142)
Se (0.000, 0.000, 0.234)
Se (0.000, 0.000, 0.766)
Se (0.000, 0.000, 0.858)
S (0.333, 0.667, 0.042)
S (0.333, 0.667, 0.582)
S (0.333, 0.667, 0.666)
S (0.333, 0.667, 0.958)


## Q
The following is a DFT calculation (PBE) of an optimized crystal structure of MoWSe2S2.

Summary:
- Symmetry: P3m1, No. 156
- Calculated volume: 210.82 Å³ per cell

a b c (Å): 3.253 3.253 22.999
angles (deg): 90.00 90.00 120.00
Positions (direct):
Mo (0.000, 0.000, 0.000)
W (0.333, 0.667, 0.301)
Se (0.333, 0.667, 0.074)
Se (0.333, 0.667, 0.926)
S (0.000, 0.000, 0.234)
S (0.000, 0.000, 0.368)


Energetically preferred structure: Q | next structure: +17 meV per atom


## P
The following is a DFT calculation (PBE) of an optimized crystal structure of MoWSe2S2.

Summary:
- Symmetry: P3m1, No. 156
- Calculated volume: 338.27 Å³ per cell

a b c (Å): 3.254 3.254 36.892
angles (deg): 90.00 90.00 120.00
Positions (direct):
Mo (0.000, 0.000, 0.000)
Mo (0.000, 0.000, 0.376)
W (0.333, 0.667, 0.188)
W (0.333, 0.667, 0.564)
Se (0.000, 0.000, 0.142)
Se (0.000, 0.000, 0.234)
Se (0.333, 0.667, 0.330)
Se (0.333, 0.667, 0.422)
S (0.000, 0.000, 0.522)
S (0.000, 0.000, 0.606)
S (0.333, 0.667, 0.042)
S (0.333, 0.667, 0.958)


## Q
The following is a DFT calculation (PBE) of an optimized crystal structure of MoWSe2S2.

Summary:
- Symmetry: P3m1, No. 156
- Calculated volume: 339.24 Å³ per cell

a b c (Å): 3.258 3.258 36.904
angles (deg): 90.00 90.00 120.00
Positions (direct):
Mo (0.000, 0.000, 0.000)
Mo (0.333, 0.667, 0.188)
W (0.000, 0.000, 0.376)
W (0.333, 0.667, 0.564)
Se (0.000, 0.000, 0.517)
Se (0.000, 0.000, 0.610)
Se (0.333, 0.667, 0.329)
Se (0.333, 0.667, 0.422)
S (0.000, 0.000, 0.146)
S (0.000, 0.000, 0.230)
S (0.333, 0.667, 0.042)
S (0.333, 0.667, 0.958)


Energetically preferred structure: P | next structure: +17 meV per atom


## P
The following is a DFT calculation (PBE) of an optimized crystal structure of MoW3Se4S4.

Summary:
- Symmetry: P3m1, No. 156
- Calculated volume: 339.41 Å³ per cell

a b c (Å): 3.258 3.258 36.920
angles (deg): 90.00 90.00 120.00
Positions (direct):
Mo (0.000, 0.000, 0.000)
W (0.000, 0.000, 0.624)
W (0.333, 0.667, 0.188)
W (0.333, 0.667, 0.812)
Se (0.000, 0.000, 0.142)
Se (0.000, 0.000, 0.234)
Se (0.000, 0.000, 0.766)
Se (0.000, 0.000, 0.858)
S (0.333, 0.667, 0.042)
S (0.333, 0.667, 0.582)
S (0.333, 0.667, 0.666)
S (0.333, 0.667, 0.958)


## Q
The following is a DFT calculation (PBE) of an optimized crystal structure of MoW3Se4S4.

Summary:
- Symmetry: P3m1, No. 156
- Calculated volume: 337.98 Å³ per cell

a b c (Å): 3.253 3.253 36.883
angles (deg): 90.00 90.00 120.00
Positions (direct):
Mo (0.000, 0.000, 0.000)
W (0.000, 0.000, 0.376)
W (0.333, 0.667, 0.188)
W (0.333, 0.667, 0.564)
Se (0.333, 0.667, 0.046)
Se (0.333, 0.667, 0.329)
Se (0.333, 0.667, 0.422)
Se (0.333, 0.667, 0.954)
S (0.000, 0.000, 0.146)
S (0.000, 0.000, 0.230)
S (0.000, 0.000, 0.522)
S (0.000, 0.000, 0.606)


Energetically preferred structure: Q | next structure: +17 meV per atom


## P
The following is a DFT calculation (PBE) of an optimized crystal structure of MoWSe3S.

Summary:
- Symmetry: P3m1, No. 156
- Calculated volume: 349.46 Å³ per cell

a b c (Å): 3.286 3.286 37.366
angles (deg): 90.00 90.00 120.00
Positions (direct):
Mo (0.000, 0.000, 0.000)
Mo (0.333, 0.667, 0.564)
W (0.000, 0.000, 0.376)
W (0.333, 0.667, 0.188)
Se (0.000, 0.000, 0.518)
Se (0.000, 0.000, 0.609)
Se (0.333, 0.667, 0.045)
Se (0.333, 0.667, 0.330)
Se (0.333, 0.667, 0.421)
Se (0.333, 0.667, 0.955)
S (0.000, 0.000, 0.147)
S (0.000, 0.000, 0.229)


## Q
The following is a DFT calculation (PBE) of an optimized crystal structure of MoWSe3S.

Summary:
- Symmetry: P3m1, No. 156
- Calculated volume: 351.21 Å³ per cell

a b c (Å): 3.293 3.293 37.394
angles (deg): 90.00 90.00 120.00
Positions (direct):
Mo (0.000, 0.000, 0.000)
Mo (0.000, 0.000, 0.376)
W (0.333, 0.667, 0.188)
W (0.333, 0.667, 0.564)
Se (0.000, 0.000, 0.143)
Se (0.000, 0.000, 0.233)
Se (0.000, 0.000, 0.518)
Se (0.000, 0.000, 0.609)
Se (0.333, 0.667, 0.331)
Se (0.333, 0.667, 0.421)
S (0.333, 0.667, 0.041)
S (0.333, 0.667, 0.959)


Energetically preferred structure: P | next structure: +17 meV per atom


## P
The following is a DFT calculation (PBE) of an optimized crystal structure of MoWSe3S.

Summary:
- Symmetry: P3m1, No. 156
- Calculated volume: 349.50 Å³ per cell

a b c (Å): 3.287 3.287 37.359
angles (deg): 90.00 90.00 120.00
Positions (direct):
Mo (0.000, 0.000, 0.000)
Mo (0.000, 0.000, 0.376)
W (0.333, 0.667, 0.188)
W (0.333, 0.667, 0.564)
Se (0.000, 0.000, 0.518)
Se (0.000, 0.000, 0.609)
Se (0.333, 0.667, 0.045)
Se (0.333, 0.667, 0.331)
Se (0.333, 0.667, 0.421)
Se (0.333, 0.667, 0.955)
S (0.000, 0.000, 0.147)
S (0.000, 0.000, 0.229)


## Q
The following is a DFT calculation (PBE) of an optimized crystal structure of MoWSe3S.

Summary:
- Symmetry: P3m1, No. 156
- Calculated volume: 349.75 Å³ per cell

a b c (Å): 3.289 3.289 37.343
angles (deg): 90.00 90.00 120.00
Positions (direct):
Mo (0.000, 0.000, 0.000)
Mo (0.333, 0.667, 0.188)
W (0.000, 0.000, 0.376)
W (0.333, 0.667, 0.564)
Se (0.000, 0.000, 0.518)
Se (0.000, 0.000, 0.609)
Se (0.333, 0.667, 0.045)
Se (0.333, 0.667, 0.330)
Se (0.333, 0.667, 0.421)
Se (0.333, 0.667, 0.955)
S (0.000, 0.000, 0.147)
S (0.000, 0.000, 0.229)


Energetically preferred structure: P | next structure: +17 meV per atom


## P
The following is a DFT calculation (PBE) of an optimized crystal structure of MoWSe3S.

Summary:
- Symmetry: P3m1, No. 156
- Calculated volume: 349.56 Å³ per cell

a b c (Å): 3.287 3.287 37.365
angles (deg): 90.00 90.00 120.00
Positions (direct):
Mo (0.000, 0.000, 0.000)
Mo (0.000, 0.000, 0.376)
W (0.333, 0.667, 0.188)
W (0.333, 0.667, 0.564)
Se (0.000, 0.000, 0.142)
Se (0.000, 0.000, 0.233)
Se (0.333, 0.667, 0.045)
Se (0.333, 0.667, 0.331)
Se (0.333, 0.667, 0.421)
Se (0.333, 0.667, 0.955)
S (0.000, 0.000, 0.522)
S (0.000, 0.000, 0.605)


## Q
The following is a DFT calculation (PBE) of an optimized crystal structure of MoWSe3S.

Summary:
- Symmetry: P3m1, No. 156
- Calculated volume: 350.97 Å³ per cell

a b c (Å): 3.291 3.291 37.408
angles (deg): 90.00 90.00 120.00
Positions (direct):
Mo (0.000, 0.000, 0.000)
Mo (0.333, 0.667, 0.188)
W (0.000, 0.000, 0.376)
W (0.333, 0.667, 0.564)
Se (0.000, 0.000, 0.143)
Se (0.000, 0.000, 0.233)
Se (0.000, 0.000, 0.518)
Se (0.000, 0.000, 0.609)
Se (0.333, 0.667, 0.330)
Se (0.333, 0.667, 0.421)
S (0.333, 0.667, 0.041)
S (0.333, 0.667, 0.959)


Energetically preferred structure: P | next structure: +16 meV per atom


## P
The following is a DFT calculation (PBE) of an optimized crystal structure of MoWSe3S.

Summary:
- Symmetry: P3m1, No. 156
- Calculated volume: 355.29 Å³ per cell

a b c (Å): 3.290 3.290 37.898
angles (deg): 90.00 90.00 120.00
Positions (direct):
Mo (0.000, 0.000, 0.000)
Mo (0.333, 0.667, 0.188)
W (0.000, 0.000, 0.376)
W (0.333, 0.667, 0.564)
Se (0.000, 0.000, 0.143)
Se (0.000, 0.000, 0.232)
Se (0.333, 0.667, 0.045)
Se (0.333, 0.667, 0.331)
Se (0.333, 0.667, 0.421)
Se (0.333, 0.667, 0.956)
S (0.000, 0.000, 0.523)
S (0.000, 0.000, 0.604)


## Q
The following is a DFT calculation (PBE) of an optimized crystal structure of MoWSe3S.

Summary:
- Symmetry: P3m1, No. 156
- Calculated volume: 351.08 Å³ per cell

a b c (Å): 3.291 3.291 37.423
angles (deg): 90.00 90.00 120.00
Positions (direct):
Mo (0.000, 0.000, 0.000)
Mo (0.333, 0.667, 0.564)
W (0.000, 0.000, 0.376)
W (0.333, 0.667, 0.188)
Se (0.000, 0.000, 0.143)
Se (0.000, 0.000, 0.233)
Se (0.000, 0.000, 0.519)
Se (0.000, 0.000, 0.609)
Se (0.333, 0.667, 0.330)
Se (0.333, 0.667, 0.421)
S (0.333, 0.667, 0.041)
S (0.333, 0.667, 0.959)


Energetically preferred structure: P | next structure: +17 meV per atom


## P
The following is a DFT calculation (PBE) of an optimized crystal structure of MoWSe3S.

Summary:
- Symmetry: P3m1, No. 156
- Calculated volume: 349.45 Å³ per cell

a b c (Å): 3.287 3.287 37.357
angles (deg): 90.00 90.00 120.00
Positions (direct):
Mo (0.000, 0.000, 0.000)
Mo (0.333, 0.667, 0.812)
W (0.000, 0.000, 0.624)
W (0.333, 0.667, 0.188)
Se (0.000, 0.000, 0.142)
Se (0.000, 0.000, 0.233)
Se (0.000, 0.000, 0.767)
Se (0.000, 0.000, 0.857)
Se (0.333, 0.667, 0.045)
Se (0.333, 0.667, 0.955)
S (0.333, 0.667, 0.583)
S (0.333, 0.667, 0.666)


## Q
The following is a DFT calculation (PBE) of an optimized crystal structure of MoWSe3S.

Summary:
- Symmetry: P3m1, No. 156
- Calculated volume: 351.15 Å³ per cell

a b c (Å): 3.292 3.292 37.411
angles (deg): 90.00 90.00 120.00
Positions (direct):
Mo (0.000, 0.000, 0.000)
Mo (0.333, 0.667, 0.812)
W (0.000, 0.000, 0.624)
W (0.333, 0.667, 0.188)
Se (0.000, 0.000, 0.143)
Se (0.000, 0.000, 0.233)
Se (0.333, 0.667, 0.045)
Se (0.333, 0.667, 0.579)
Se (0.333, 0.667, 0.670)
Se (0.333, 0.667, 0.955)
S (0.000, 0.000, 0.771)
S (0.000, 0.000, 0.853)


Energetically preferred structure: P | next structure: +16 meV per atom


## P
The following is a DFT calculation (PBE) of an optimized crystal structure of MoWSe3S.

Summary:
- Symmetry: P3m1, No. 156
- Calculated volume: 349.41 Å³ per cell

a b c (Å): 3.286 3.286 37.354
angles (deg): 90.00 90.00 120.00
Positions (direct):
Mo (0.000, 0.000, 0.000)
Mo (0.333, 0.667, 0.188)
W (0.000, 0.000, 0.376)
W (0.333, 0.667, 0.564)
Se (0.000, 0.000, 0.143)
Se (0.000, 0.000, 0.233)
Se (0.000, 0.000, 0.518)
Se (0.000, 0.000, 0.609)
Se (0.333, 0.667, 0.045)
Se (0.333, 0.667, 0.955)
S (0.333, 0.667, 0.334)
S (0.333, 0.667, 0.417)


## Q
The following is a DFT calculation (PBE) of an optimized crystal structure of MoWSe3S.

Summary:
- Symmetry: P3m1, No. 156
- Calculated volume: 346.55 Å³ per cell

a b c (Å): 3.291 3.291 36.942
angles (deg): 90.00 90.00 120.00
Positions (direct):
Mo (0.000, 0.000, 0.000)
Mo (0.000, 0.000, 0.378)
W (0.333, 0.667, 0.188)
W (0.333, 0.667, 0.564)
Se (0.000, 0.000, 0.142)
Se (0.000, 0.000, 0.234)
Se (0.000, 0.000, 0.518)
Se (0.000, 0.000, 0.610)
Se (0.333, 0.667, 0.046)
Se (0.333, 0.667, 0.954)
S (0.333, 0.667, 0.336)
S (0.333, 0.667, 0.419)


Energetically preferred structure: P | next structure: +17 meV per atom